1.
A relaxed structure of Li21Si5. Source: Materials Project, functional PBE.

Unit cell a=18.5325 b=18.5325 c=18.5325 alpha=90.00 beta=90.00 gamma=90.00
Closest atoms and distances in Å follow each position.
Space group F-43m (No. 216)
One atom of each set of equivalent atoms:
Li: 0.0000 0.0000 0.1728  6 Li 2.61-2.91, 3 Si 2.76
Li: 0.0066 0.1610 0.1610  3 Si 2.62-2.85, 6 Li 2.65-2.90
Li: 0.0200 0.1548 0.6548  6 Li 2.65-2.82, 3 Si 2.66-2.92
Li: 0.0561 0.0561 0.0561  6 Li 2.61-2.90, 3 Si 2.72
Li: 0.0570 0.0570 0.5570  6 Li 2.65, 3 Si 2.70
Li: 0.0747 0.2500 0.2500  4 Li 2.65-2.66, 3 Si 2.68-2.84
Li: 0.0816 0.0816 0.4184  9 Li 2.65-2.90, 3 Si 2.79
Li: 0.0910 0.0910 0.2628  2 Si 2.62-2.63, 7 Li 2.77-2.91
Li: 0.0905 0.0905 0.7612  6 Li 2.44-2.67
Li: 0.1699 0.1699 0.8301  6 Li 2.44-2.70, 1 Si 2.72
Li: 0.1862 0.1862 0.6862  6 Li 2.70-2.87, 3 Si 2.72
Li: 0.1972 0.1972 0.3028  9 Li 2.66-2.88, 3 Si 2.82
Si: 0.0000 0.0000 0.3219  13 Li 2.62-2.92
Si: 0.0702 0.2500 0.7500  9 Li 2.66-2.80
Si: 0.0851 0.0851 0.9149  13 Li 2.62-2.85
Si: 0.1602 0.1602 0.1602  12 Li 2.63-2.85

Magnetization   0.1 Bohr magnetons per cell


2.
A relaxed structure of Li12Si7. Source: Materials Project, functional PBE.

Unit cell a=8.5312 b=19.6227 c=14.3127 alpha=90.00 beta=90.00 gamma=90.00
Closest atoms and distances in Å follow each position.
Space group Pnma (No. 62)
One atom of each set of equivalent atoms:
Li: 0.0037 0.1250 0.0276  3 Li 2.57-2.69, 4 Si 2.65-2.78
Li: 0.1088 0.1872 0.3434  3 Li 2.46-2.66, 2 Si 2.68-2.71
Li: 0.1131 0.7500 0.1312  5 Si 2.63-2.88, 5 Li 2.82-2.93
Li: 0.1229 0.1656 0.6596  4 Si 2.57-2.86, 2 Li 2.60-2.82
Li: 0.1282 0.1451 0.8612  5 Li 2.64-2.91, 5 Si 2.67-2.79
Li: 0.1295 0.0316 0.7437  5 Li 2.79-2.89, 10 Si 2.82-3.11
Li: 0.1296 0.5278 0.5657  5 Si 2.59-2.80, 3 Li 2.80-2.89
Li: 0.1304 0.6127 0.7635  5 Si 2.62-2.81, 4 Li 2.85-2.93
Li: 0.1331 0.5049 0.9326  5 Si 2.68-2.82, 5 Li 2.69-2.99
Li: 0.1374 0.1889 0.1626  3 Li 2.40-2.60, 1 Si 2.67
Li: 0.1379 0.6714 0.5222  3 Si 2.64-2.87, 4 Li 2.79-2.89
Li: 0.1576 0.1117 0.4949  4 Li 2.60-2.89, 3 Si 2.62-2.74
Li: 0.1618 0.7500 0.3341  3 Si 2.64-2.95, 5 Li 2.76-2.94
Si: 0.1065 0.5650 0.3860  2 Si 2.38-2.39
Si: 0.1157 0.2500 0.9922  1 Si 2.39, 3 Li 2.63-2.64
Si: 0.1178 0.0506 0.3336  2 Si 2.36-2.39, 2 Li 2.59-2.62
Si: 0.1199 0.0531 0.1686  2 Si 2.36-2.37, 2 Li 2.62-2.64
Si: 0.1223 0.2500 0.5120  1 Si 2.39
Si: 0.1239 0.6322 0.2480  2 Si 2.37-2.38, 3 Li 2.57-2.64
Si: 0.1282 0.7500 0.7645  1 Si 2.37
Si: 0.1311 0.5608 0.1142  2 Si 2.37, 1 Li 2.65
Si: 0.1330 0.7500 0.9304  3 Si 2.37-2.39

Magnetization   0.0 Bohr magnetons per cell


3.
A relaxed structure of SrLiSi. Source: Materials Project, functional PBE.

Unit cell a=4.7635 b=4.7635 c=3.7566 alpha=90.00 beta=90.00 gamma=120.00
Closest atoms and distances in Å follow each position.
Space group P-6m2 (No. 187)
One atom of each set of equivalent atoms:
Sr: 0.0000 0.0000 0.0000  6 Li 3.33, 6 Si 3.33
Li: 0.3333 0.6667 0.5000  3 Si 2.75
Si: 0.6667 0.3333 0.5000  3 Li 2.75

Magnetization   0.0 Bohr magnetons per cell


4.
A relaxed structure of LiY2Si2. Source: Materials Project, functional PBE.

Unit cell a=7.1610 b=7.1610 c=4.1871 alpha=90.00 beta=90.00 gamma=90.00
Closest atoms and distances in Å follow each position.
Space group P4/mbm (No. 127)
One atom of each set of equivalent atoms:
Li: 0.0000 0.0000 0.0000  4 Si 2.86
Y: 0.1789 0.3211 0.5000  6 Si 2.93-3.02
Si: 0.1182 0.6182 0.0000  1 Si 2.39

Magnetization   0.0 Bohr magnetons per cell


5.
A relaxed structure of LiYSi. Source: Materials Project, functional PBE.

Unit cell a=7.0152 b=7.0152 c=4.2400 alpha=90.00 beta=90.00 gamma=120.00
Closest atoms and distances in Å follow each position.
Space group P-62m (No. 189)
One atom of each set of equivalent atoms:
Li: 0.0000 0.2327 0.0000  4 Si 2.68-2.76, 2 Li 2.83
Y: 0.0000 0.5757 0.5000  5 Si 2.98, 2 Li 3.21
Si: 0.0000 0.0000 0.5000  6 Li 2.68, 3 Y 2.98
Si: 0.3333 0.6667 0.0000  3 Li 2.76, 6 Y 2.98

Relative energy among the computed polymorphs   0 meV/atom


6.
A relaxed structure of LiYSi. Source: Materials Project, functional PBE.

Unit cell a=6.6579 b=6.6579 c=6.6579 alpha=90.00 beta=90.00 gamma=90.00
Closest atoms and distances in Å follow each position.
Space group F-43m (No. 216)
One atom of each set of equivalent atoms:
Li: 0.0000 0.0000 0.0000  4 Y 2.88
Y: 0.2500 0.2500 0.2500  4 Li 2.88, 4 Si 2.88
Si: 0.0000 0.0000 0.5000  4 Y 2.88

Magnetization   0.0 Bohr magnetons per cell
Relative energy among the computed polymorphs   672 meV/atom


7.
A relaxed structure of Li2ZnSi. Source: Materials Project, functional PBE.

Unit cell a=4.2285 b=4.2285 c=8.1920 alpha=90.00 beta=90.00 gamma=120.00
Closest atoms and distances in Å follow each position.
Space group P6_3/mmc (No. 194)
One atom of each set of equivalent atoms:
Li: 0.3333 0.6667 0.0829  4 Si 2.73-2.80, 4 Li 2.74-2.79, 3 Zn 2.80
Zn: 0.0000 0.0000 0.2500  3 Si 2.44
Si: 0.3333 0.6667 0.7500  3 Zn 2.44, 2 Li 2.73


8.
A relaxed structure of Li2ZnSi. Source: Materials Project, functional PBE.

Unit cell a=4.2333 b=4.2333 c=16.2778 alpha=90.00 beta=90.00 gamma=120.00
Closest atoms and distances in Å follow each position.
Space group P-3m1 (No. 164)
One atom of each set of equivalent atoms:
Li: 0.3333 0.6667 0.0408  4 Si 2.69-2.80, 4 Li 2.72-2.78, 3 Zn 2.78
Li: 0.3333 0.6667 0.2078  4 Si 2.72-2.79, 4 Li 2.72-2.79, 3 Zn 2.81
Li: 0.3333 0.6667 0.5424  4 Li 2.71-2.81, 4 Si 2.73-2.79, 3 Zn 2.81
Li: 0.3333 0.6667 0.7089  4 Si 2.71-2.80, 4 Li 2.71-2.79, 3 Zn 2.78
Zn: 0.0000 0.0000 0.1225  3 Si 2.44
Zn: 0.0000 0.0000 0.3728  3 Si 2.44
Si: 0.3333 0.6667 0.3747  3 Zn 2.44, 2 Li 2.72-2.73
Si: 0.3333 0.6667 0.8754  3 Zn 2.44, 2 Li 2.69-2.71

Magnetization   0.0 Bohr magnetons per cell


9.
A relaxed structure of Li2ZnSi. Source: Materials Project, functional PBE.

Unit cell a=4.3177 b=4.3177 c=7.6505 alpha=90.00 beta=90.00 gamma=120.00
Closest atoms and distances in Å follow each position.
Space group P-3m1 (No. 164)
One atom of each set of equivalent atoms:
Li: 0.0000 0.0000 0.2359  3 Si 2.50, 3 Li 2.77
Li: 0.3333 0.6667 0.0787  1 Zn 2.50, 1 Si 2.61, 6 Li 2.77
Zn: 0.3333 0.6667 0.4054  1 Li 2.50, 4 Si 2.54-2.72
Si: 0.3333 0.6667 0.7370  4 Li 2.50-2.61, 4 Zn 2.54-2.72

Magnetization   0.0 Bohr magnetons per cell


10.
A relaxed structure of Li2ZnSi. Source: Materials Project, functional PBE.

Unit cell a=4.3023 b=4.3023 c=7.4049 alpha=90.00 beta=90.00 gamma=120.00
Closest atoms and distances in Å follow each position.
Space group P6_3/mmc (No. 194)
One atom of each set of equivalent atoms:
Li: 0.3333 0.6667 0.0845  1 Li 2.45, 1 Zn 2.48, 3 Si 2.56
Zn: 0.3333 0.6667 0.7500  8 Li 2.48-2.77
Si: 0.0000 0.0000 0.0000  6 Li 2.56

Magnetization   0.0 Bohr magnetons per cell


11.
A relaxed structure of Li3Sm. Source: Materials Project, functional PBE.

Unit cell a=7.2606 b=7.2606 c=7.2606 alpha=90.00 beta=90.00 gamma=90.00
Closest atoms and distances in Å follow each position.
Space group Fm-3m (No. 225)
One atom of each set of equivalent atoms:
Li: 0.0000 0.0000 0.0000  8 Li 3.14
Li: 0.2500 0.2500 0.2500  4 Li 3.14, 4 Sm 3.14
Sm: 0.0000 0.0000 0.5000  8 Li 3.14

Magnetization   0.0 Bohr magnetons per cell
Relative energy among the computed polymorphs   6 meV/atom


12.
A relaxed structure of LiSm3. Source: Materials Project, functional PBE.

Unit cell a=4.9601 b=4.9601 c=4.9601 alpha=90.00 beta=90.00 gamma=90.00
Closest atoms and distances in Å follow each position.
Space group Pm-3m (No. 221)
One atom of each set of equivalent atoms:
Li: 0.0000 0.0000 0.0000  12 Sm 3.51
Sm: 0.0000 0.5000 0.5000  4 Li 3.51, 8 Sm 3.51

Magnetization   0.0 Bohr magnetons per cell


no.,total energy (eV/atom),ΔE_f (eV/atom)
1,-2.81,-0.21
2,-3.45,-0.22
3,-3.26,-0.23
4,-5.80,-0.64
5,-5.21,-0.59
6,-4.54,0.08
7,-2.91,-0.27
8,-2.91,-0.27
9,-2.81,-0.16
10,-2.59,0.05
11,-2.40,0.21
12,-3.85,0.16